# HfO2

An optimized crystal structure of HfO2 (r2SCAN, the Materials Project).

Geometry as POSCAR:
```
HfO2
1.0
5.038 0.000 0.000
0.000 5.202 0.000
0.000 0.000 9.972
Hf O
8 16
Direct
0.246 0.035 0.385
0.246 0.535 0.115
0.754 0.465 0.885
0.746 0.465 0.385
0.254 0.035 0.885
0.254 0.535 0.615
0.754 0.965 0.615
0.746 0.965 0.115
0.502 0.261 0.023
0.002 0.739 0.477
0.126 0.874 0.711
0.874 0.626 0.211
0.374 0.874 0.211
0.374 0.374 0.289
0.002 0.239 0.023
0.498 0.739 0.977
0.874 0.126 0.289
0.126 0.374 0.789
0.498 0.239 0.523
0.998 0.261 0.523
0.502 0.761 0.477
0.626 0.126 0.789
0.998 0.761 0.977
0.626 0.626 0.711
```

Volume = 10.9 Å³/atom
Formation energy from the elements = -3891 meV/atom
Total energy = -22.92 eV/atom
SG = No. 61

---

# Ni2PPd

An optimized crystal structure of Ni2PPd (r2SCAN, the Materials Project).

Geometry as POSCAR:
```
Ni2PPd
1.0
1.736 -4.208 0.000
1.736 4.208 0.000
0.000 0.000 6.480
Pd P Ni
2 2 4
Direct
0.446 0.554 0.750
0.554 0.446 0.250
0.270 0.730 0.250
0.730 0.270 0.750
0.852 0.148 0.446
0.148 0.852 0.946
0.852 0.148 0.054
0.148 0.852 0.554
```

Volume = 11.8 Å³/atom
Formation energy from the elements = -474 meV/atom
Total energy = -14.46 eV/atom
SG = No. 63

---

# Cs2BeF4

An optimized crystal structure of Cs2BeF4 (r2SCAN, the Materials Project).

Geometry as POSCAR:
```
Cs2BeF4
1.0
-5.965 -0.606 -1.208
1.132 -7.879 -1.637
-1.837 -2.399 10.276
Cs F Be
8 16 4
Direct
0.750 0.513 0.811
0.250 0.487 0.189
0.250 0.162 0.906
0.250 0.662 0.594
0.250 0.987 0.311
0.750 0.013 0.689
0.750 0.338 0.406
0.750 0.838 0.094
0.750 0.950 0.410
0.958 0.691 0.350
0.458 0.309 0.650
0.250 0.550 0.910
0.250 0.306 0.446
0.042 0.809 0.850
0.542 0.691 0.350
0.250 0.050 0.590
0.042 0.309 0.650
0.458 0.809 0.850
0.750 0.450 0.090
0.750 0.694 0.554
0.958 0.191 0.150
0.250 0.806 0.054
0.542 0.191 0.150
0.750 0.194 0.946
0.750 0.260 0.084
0.250 0.240 0.584
0.750 0.760 0.416
0.250 0.740 0.916
```

Volume = 19.0 Å³/atom
Formation energy from the elements = -3288 meV/atom
Total energy = -12.87 eV/atom
SG = No. 62

---

# BaMg2As2

An optimized crystal structure of BaMg2As2 (r2SCAN, the Materials Project).

Geometry as POSCAR:
```
BaMg2As2
1.0
-4.214 -1.017 1.181
3.418 -1.103 2.699
-0.641 6.850 3.612
Mg As Ba
2 2 1
Direct
0.333 0.667 0.623
0.667 0.333 0.377
0.333 0.667 0.275
0.667 0.333 0.725
0.000 0.000 0.000
```

Volume = 27.2 Å³/atom
Formation energy from the elements = -1120 meV/atom
Total energy = -13.97 eV/atom
SG = No. 164

---

# KP2Ir2

An optimized crystal structure of KP2Ir2 (r2SCAN, the Materials Project).

Geometry as POSCAR:
```
KP2Ir2
1.0
-1.969 1.969 6.553
1.969 -1.969 6.553
1.969 1.969 -6.553
P Ir K
2 2 1
Direct
0.347 0.347 0.000
0.653 0.653 0.000
0.750 0.250 0.500
0.250 0.750 0.500
0.000 0.000 0.000
```

Volume = 20.3 Å³/atom
Formation energy from the elements = -736 meV/atom
Total energy = -26.48 eV/atom
SG = No. 139

---

# Sr2PrGaCu2O7

An optimized crystal structure of Sr2PrGaCu2O7 (r2SCAN, the Materials Project).

Geometry as POSCAR:
```
Sr2PrGaCu2O7
1.0
-6.818 7.887 6.347
-7.125 9.843 -1.153
3.883 -11.178 -2.991
Cu O Pr Sr Ga
4 14 2 4 2
Direct
0.422 0.425 0.001
0.924 0.925 0.003
0.076 0.079 0.001
0.578 0.579 0.003
0.819 0.321 0.002
0.181 0.683 0.002
0.819 0.821 0.502
0.682 0.184 0.999
0.181 0.183 0.502
0.873 0.368 0.740
0.685 0.684 0.502
0.127 0.868 0.495
0.368 0.351 0.074
0.777 0.851 0.983
0.318 0.318 0.502
0.315 0.818 0.999
0.223 0.205 0.074
0.632 0.705 0.983
0.500 0.001 0.501
0.000 0.501 0.501
0.830 0.346 0.482
0.364 0.846 0.516
0.636 0.152 0.482
0.170 0.652 0.516
0.180 0.214 0.894
0.820 0.714 0.034
```

Volume = 13.4 Å³/atom
Formation energy from the elements = -2322 meV/atom
Total energy = -12.68 eV/atom
SG = No. 46

---

# LaSiRh

An optimized crystal structure of LaSiRh (r2SCAN, the Materials Project).

Geometry as POSCAR:
```
LaSiRh
1.0
-1.038 5.356 3.330
-6.143 -1.621 0.692
1.424 -3.088 5.411
Si La Rh
4 4 4
Direct
0.659 0.159 0.341
0.341 0.659 0.159
0.841 0.841 0.841
0.159 0.341 0.659
0.137 0.137 0.137
0.363 0.863 0.637
0.863 0.637 0.363
0.637 0.363 0.863
0.923 0.077 0.577
0.423 0.423 0.423
0.077 0.577 0.923
0.577 0.923 0.077
```

Volume = 21.8 Å³/atom
Formation energy from the elements = -1063 meV/atom
Total energy = -21.95 eV/atom
SG = No. 198

---

# LaI3

An optimized crystal structure of LaI3 (r2SCAN, the Materials Project).

Geometry as POSCAR:
```
LaI3
1.0
-1.947 2.966 -2.695
-0.332 -6.773 -3.532
-8.958 -1.866 4.419
La I
2 6
Direct
0.742 0.485 0.250
0.258 0.515 0.750
0.648 0.296 0.934
0.914 0.828 0.750
0.352 0.704 0.434
0.086 0.172 0.250
0.352 0.704 0.066
0.648 0.296 0.566
```

Volume = 41.4 Å³/atom
Formation energy from the elements = -1779 meV/atom
Total energy = -27.63 eV/atom
SG = No. 63

---

# LuGaPt

An optimized crystal structure of LuGaPt (r2SCAN, the Materials Project).

Geometry as POSCAR:
```
LuGaPt
1.0
-1.608 -3.882 1.156
5.085 -0.822 4.310
-4.086 3.316 5.453
Lu Pt Ga
4 4 4
Direct
0.250 0.988 0.299
0.750 0.012 0.701
0.750 0.512 0.799
0.250 0.488 0.201
0.750 0.272 0.404
0.250 0.728 0.596
0.250 0.228 0.904
0.750 0.772 0.096
0.750 0.176 0.076
0.750 0.676 0.424
0.250 0.824 0.924
0.250 0.324 0.576
```

Volume = 18.5 Å³/atom
Formation energy from the elements = -1233 meV/atom
Total energy = -34.90 eV/atom
SG = No. 62

---

# SiO2

An optimized crystal structure of SiO2 (r2SCAN, the Materials Project).

Geometry as POSCAR:
```
SiO2
1.0
7.556 -0.004 1.255
1.314 10.888 3.613
-0.010 0.011 11.547
Si O
16 32
Direct
0.597 0.032 0.263
0.124 0.639 0.866
0.876 0.361 0.134
0.772 0.635 0.042
0.200 0.126 0.899
0.597 0.263 0.032
0.800 0.874 0.101
0.200 0.899 0.126
0.124 0.866 0.639
0.876 0.134 0.361
0.403 0.968 0.737
0.403 0.737 0.968
0.228 0.958 0.365
0.772 0.042 0.635
0.800 0.101 0.874
0.228 0.365 0.958
0.769 0.964 0.964
0.549 0.158 0.158
0.848 0.272 0.272
0.000 0.875 0.125
0.767 0.737 0.111
0.578 0.001 0.641
0.083 0.341 0.078
0.422 0.999 0.359
0.246 0.667 0.953
0.178 0.864 0.499
0.422 0.359 0.999
0.152 0.728 0.728
0.338 0.079 0.798
0.338 0.798 0.079
0.754 0.333 0.047
0.822 0.136 0.501
0.178 0.499 0.864
0.246 0.953 0.667
0.451 0.842 0.842
0.917 0.922 0.659
0.231 0.036 0.036
0.754 0.047 0.333
0.917 0.659 0.922
0.233 0.889 0.263
0.233 0.263 0.889
0.662 0.921 0.202
0.000 0.125 0.875
0.083 0.078 0.341
0.767 0.111 0.737
0.578 0.641 0.001
0.822 0.501 0.136
0.662 0.202 0.921
```

Volume = 19.8 Å³/atom
Formation energy from the elements = -3018 meV/atom
Total energy = -9.92 eV/atom
SG = No. 12

---

# Li5InO4

An optimized crystal structure of Li5InO4 (r2SCAN, the Materials Project).

Geometry as POSCAR:
```
Li5InO4
1.0
9.182 0.000 0.000
0.000 9.292 0.000
0.000 0.000 9.456
Li O In
40 32 8
Direct
0.853 0.135 0.879
0.353 0.365 0.121
0.878 0.887 0.160
0.878 0.613 0.660
0.386 0.403 0.638
0.614 0.903 0.862
0.159 0.384 0.899
0.386 0.097 0.138
0.372 0.359 0.387
0.122 0.113 0.840
0.341 0.884 0.899
0.353 0.135 0.621
0.614 0.597 0.362
0.659 0.116 0.101
0.128 0.641 0.887
0.159 0.116 0.399
0.114 0.597 0.138
0.628 0.641 0.613
0.147 0.865 0.121
0.628 0.859 0.113
0.886 0.097 0.362
0.872 0.141 0.613
0.372 0.141 0.887
0.841 0.616 0.101
0.853 0.365 0.379
0.647 0.635 0.879
0.872 0.359 0.113
0.886 0.403 0.862
0.659 0.384 0.601
0.341 0.616 0.399
0.114 0.903 0.638
0.378 0.887 0.340
0.378 0.613 0.840
0.128 0.859 0.387
0.647 0.865 0.379
0.622 0.113 0.660
0.622 0.387 0.160
0.122 0.387 0.340
0.841 0.884 0.601
0.147 0.635 0.621
0.251 0.246 0.255
0.506 0.762 0.970
0.006 0.738 0.030
0.237 0.023 0.000
0.737 0.477 0.000
0.474 0.489 0.259
0.026 0.511 0.759
0.251 0.254 0.755
0.006 0.762 0.530
0.763 0.977 0.000
0.994 0.238 0.470
0.974 0.011 0.741
0.749 0.746 0.245
0.526 0.989 0.241
0.763 0.523 0.500
0.237 0.477 0.500
0.974 0.489 0.241
0.994 0.262 0.970
0.026 0.989 0.259
0.506 0.738 0.470
0.751 0.246 0.245
0.249 0.754 0.755
0.474 0.011 0.759
0.263 0.977 0.500
0.494 0.262 0.530
0.749 0.754 0.745
0.737 0.023 0.500
0.249 0.746 0.255
0.751 0.254 0.745
0.526 0.511 0.741
0.494 0.238 0.030
0.263 0.523 0.000
0.904 0.650 0.375
0.096 0.350 0.625
0.596 0.350 0.875
0.404 0.650 0.125
0.096 0.150 0.125
0.596 0.150 0.375
0.904 0.850 0.875
0.404 0.850 0.625
```

Volume = 10.1 Å³/atom
Formation energy from the elements = -1971 meV/atom
Total energy = -7.81 eV/atom
SG = No. 61

---

# MnB

An optimized crystal structure of MnB (r2SCAN, the Materials Project).

Geometry as POSCAR:
```
MnB
1.0
-1.174 -0.758 2.607
0.495 -3.970 -0.931
4.987 0.089 2.271
B Mn
4 4
Direct
0.750 0.384 0.966
0.250 0.616 0.034
0.750 0.116 0.466
0.250 0.884 0.534
0.250 0.377 0.675
0.750 0.623 0.325
0.750 0.877 0.825
0.250 0.123 0.175
```

Volume = 8.3 Å³/atom
Formation energy from the elements = -528 meV/atom
Total energy = -11.54 eV/atom
SG = No. 62

---

# LiMg3

An optimized crystal structure of LiMg3 (r2SCAN, the Materials Project).

Geometry as POSCAR:
```
LiMg3
1.0
-0.092 6.029 1.724
-5.378 -3.161 -0.640
0.237 -1.387 4.865
Mg Li
6 2
Direct
0.833 0.665 0.250
0.335 0.167 0.250
0.167 0.833 0.750
0.167 0.335 0.750
0.833 0.167 0.250
0.665 0.833 0.750
0.333 0.667 0.250
0.667 0.333 0.750
```

Volume = 21.6 Å³/atom
Formation energy from the elements = -24 meV/atom
Total energy = -3.75 eV/atom
SG = No. 194

---

# Tb5Ge4

An optimized crystal structure of Tb5Ge4 (r2SCAN, the Materials Project).

Geometry as POSCAR:
```
Tb5Ge4
1.0
7.676 0.000 0.000
0.000 7.739 0.000
0.000 0.000 14.731
Tb Ge
20 16
Direct
0.462 0.674 0.104
0.887 0.660 0.615
0.113 0.340 0.115
0.038 0.174 0.604
0.387 0.840 0.885
0.538 0.326 0.896
0.038 0.174 0.896
0.538 0.326 0.604
0.613 0.160 0.385
0.887 0.660 0.885
0.613 0.160 0.115
0.962 0.826 0.104
0.387 0.840 0.615
0.278 0.003 0.250
0.113 0.340 0.385
0.462 0.674 0.396
0.222 0.503 0.750
0.778 0.497 0.250
0.962 0.826 0.396
0.722 0.997 0.750
0.407 0.383 0.250
0.272 0.028 0.454
0.341 0.135 0.750
0.659 0.865 0.250
0.772 0.472 0.046
0.728 0.972 0.954
0.593 0.617 0.750
0.093 0.883 0.750
0.772 0.472 0.454
0.228 0.528 0.954
0.159 0.635 0.250
0.272 0.028 0.046
0.228 0.528 0.546
0.728 0.972 0.546
0.907 0.117 0.250
0.841 0.365 0.750
```

Volume = 24.3 Å³/atom
Formation energy from the elements = -994 meV/atom
Total energy = -24.51 eV/atom
SG = No. 62

---

# BaLiSb

An optimized crystal structure of BaLiSb (r2SCAN, the Materials Project).

Geometry as POSCAR:
```
BaLiSb
1.0
4.940 0.000 0.000
-2.470 4.279 0.000
0.000 0.000 9.180
Sb Ba Li
2 2 2
Direct
0.667 0.333 0.250
0.333 0.667 0.750
0.000 0.000 0.000
0.000 0.000 0.500
0.333 0.667 0.250
0.667 0.333 0.750
```

Volume = 32.3 Å³/atom
Formation energy from the elements = -1109 meV/atom
Total energy = -19.31 eV/atom
SG = No. 194